Record 1
VASP calculation (r2SCAN) on a geometry-optimized PrTmS3 structure.

Cell: 11.019 3.957 21.483 Å, 90.00 101.42 90.00°
Space group P2_1/m (No. 11)
One atom of each set of equivalent atoms:
Pr 0.091 0.250 0.364 [2 per cell]
Pr 0.201 0.250 0.037 [2 per cell]
Pr 0.303 0.750 0.734 [2 per cell]
Pr 0.309 0.250 0.233 [2 per cell]
Tm 0.029 0.250 0.851 [2 per cell]
Tm 0.181 0.250 0.546 [2 per cell]
Tm 0.447 0.250 0.917 [2 per cell]
Tm 0.478 0.750 0.413 [2 per cell]
S 0.036 0.250 0.229 [2 per cell]
S 0.058 0.750 0.944 [2 per cell]
S 0.086 0.750 0.464 [2 per cell]
S 0.125 0.250 0.663 [2 per cell]
S 0.204 0.750 0.135 [2 per cell]
S 0.253 0.750 0.327 [2 per cell]
S 0.254 0.250 0.825 [2 per cell]
S 0.342 0.750 0.598 [2 per cell]
S 0.357 0.750 0.986 [2 per cell]
S 0.365 0.250 0.464 [2 per cell]
S 0.455 0.250 0.134 [2 per cell]
S 0.494 0.250 0.720 [2 per cell]

Summary:
The value obtained for the calculated volume is 23.0 A^3/atom. Its crystal system is monoclinic. As for the energy of formation: -2.39 eV/atom. The size of the total moment is 0.0 μB per formula unit. As for the total DFT energy (no corrections): -20.11 eV/atom.

Record 2
VASP calculation (r2SCAN) on a geometry-optimized Hf2Co4P3 structure.

Cell: 11.9474 11.9474 3.6157 Å, 90.00 90.00 120.00°
Space group P-62m (No. 189)
One atom of each set of equivalent atoms:
Hf 0.0000 0.1741 0.0000 [3 per cell]
Hf 0.0000 0.5565 0.5000 [3 per cell]
Hf 0.3333 0.6667 0.5000 [2 per cell]
Co 0.0000 0.0000 0.5000 [1 per cell]
Co 0.0000 0.7215 0.0000 [3 per cell]
Co 0.1269 0.4831 0.0000 [6 per cell]
Co 0.1797 0.8070 0.5000 [6 per cell]
P 0.0000 0.3445 0.5000 [3 per cell]
P 0.0000 0.8247 0.5000 [3 per cell]
P 0.1738 0.6915 0.0000 [6 per cell]

Summary:
The value obtained for the calculated volume is 12.4 A^3/atom. Its crystal system is hexagonal. As for the energy of formation: -0.96 eV/atom. The size of the total moment is 0.5 μB per formula unit. As for the total DFT energy (no corrections): -19.87 eV/atom.

Record 3
VASP calculation (r2SCAN) on a geometry-optimized Al7Cu2Ru structure.

Cell: 6.387 6.387 14.774 Å, 90.00 90.00 90.00°
Space group P4/mnc (No. 128)
One atom of each set of equivalent atoms:
Al 0.000 0.000 0.130 [4 per cell]
Al 0.085 0.299 0.403 [16 per cell]
Al 0.157 0.657 0.250 [8 per cell]
Cu 0.089 0.732 0.000 [8 per cell]
Ru 0.000 0.000 0.299 [4 per cell]

Summary:
The value obtained for the calculated volume is 15.1 A^3/atom. Its crystal system is tetragonal. As for the energy of formation: -0.35 eV/atom. The size of the total moment is 0.0 μB per formula unit. As for the total DFT energy (no corrections): -9.78 eV/atom.

Record 4
VASP calculation (r2SCAN) on a geometry-optimized Sr3VN3 structure.

Cell: 7.7175 7.7175 5.3767 Å, 90.00 90.00 120.00°
Space group P6_3/m (No. 176)
One atom of each set of equivalent atoms:
Sr 0.0952 0.3692 0.2500 [6 per cell]
V 0.3333 0.6667 0.7500 [2 per cell]
N 0.1234 0.4132 0.7500 [6 per cell]

Summary:
The value obtained for the calculated volume is 19.8 A^3/atom. Its crystal system is hexagonal. As for the energy of formation: -1.09 eV/atom. The size of the total moment is 0.0 μB per formula unit. As for the total DFT energy (no corrections): -13.50 eV/atom.

Record 5
VASP calculation (r2SCAN) on a geometry-optimized HoCd structure.

Cell: 3.705 3.705 3.705 Å, 90.00 90.00 90.00°
Space group Pm-3m (No. 221)
One atom of each set of equivalent atoms:
Ho 0.000 0.000 0.000 [1 per cell]
Cd 0.500 0.500 0.500 [1 per cell]

Summary:
The value obtained for the calculated volume is 25.4 A^3/atom. Its crystal system is cubic. As for the energy of formation: -0.38 eV/atom. The size of the total moment is 0.0 μB per formula unit. As for the total DFT energy (no corrections): -26.87 eV/atom.

Record 6
VASP calculation (r2SCAN) on a geometry-optimized ZrOs structure.

Cell: 3.276 3.276 3.276 Å, 90.00 90.00 90.00°
Space group Pm-3m (No. 221)
One atom of each set of equivalent atoms:
Zr 0.000 0.000 0.000 [1 per cell]
Os 0.500 0.500 0.500 [1 per cell]

Summary:
The value obtained for the calculated volume is 17.6 A^3/atom. Its crystal system is cubic. As for the energy of formation: -0.67 eV/atom. The size of the total moment is 0.0 μB per formula unit. As for the total DFT energy (no corrections): -38.53 eV/atom.